[1]
Entry from Materials Project: a relaxed structure of KHSO4 (GGA-PBE).

Summary:
Crystal system: orthorhombic

CIF file:
```
data_KHSO4
_space_group_name_H-M_alt 'P b c a'
_space_group_IT_number 61
_cell_length_a 8.4773
_cell_length_b 10.0234
_cell_length_c 19.3820
_cell_angle_alpha 90.00
_cell_angle_beta 90.00
_cell_angle_gamma 90.00
loop_
_space_group_symop_operation_xyz
'x,y,z'
'-x,-y,-z'
'-x+1/2,-y,z+1/2'
'x+1/2,y,-z+1/2'
'x+1/2,-y+1/2,-z'
'-x+1/2,y+1/2,z'
'-x,y+1/2,-z+1/2'
'x,-y+1/2,z+1/2'
loop_
_atom_site_label
_atom_site_fract_x
_atom_site_fract_y
_atom_site_fract_z
K1 0.1165 0.1803 0.1246
K2 0.1234 0.1820 0.8811
H1 0.0898 0.5979 0.0013
H2 0.2303 0.5634 0.2753
S1 0.0167 0.0189 0.2935
S2 0.2438 0.0778 0.5028
O1 0.0651 0.5017 0.2742
O2 0.0781 0.6071 0.8200
O3 0.0788 0.5966 0.1585
O4 0.0887 0.1461 0.5038
O5 0.1632 0.1135 0.2768
O6 0.1668 0.6009 0.5662
O7 0.1677 0.6047 0.4396
O8 0.2078 0.5791 0.0012
```

***

[2]
Entry from Materials Project: a relaxed structure of Al2O3 (GGA-PBE).

Summary:
Crystal system: triclinic

CIF file:
```
data_Al2O3
_space_group_name_H-M_alt 'P 1'
_space_group_IT_number 1
_cell_length_a 10.1727
_cell_length_b 10.5470
_cell_length_c 10.6308
_cell_angle_alpha 93.19
_cell_angle_beta 91.58
_cell_angle_gamma 93.06
loop_
_space_group_symop_operation_xyz
'x,y,z'
loop_
_atom_site_label
_atom_site_fract_x
_atom_site_fract_y
_atom_site_fract_z
Al1 0.0000 0.0000 0.0000
Al2 0.0012 0.2771 0.8763
Al3 0.0515 0.4937 0.0461
Al4 0.0670 0.8755 0.3529
Al5 0.1020 0.1451 0.2305
Al6 0.1231 0.6087 0.7247
Al7 0.1385 0.3837 0.3458
Al8 0.1591 0.0601 0.7868
Al9 0.1863 0.7648 0.9840
Al10 0.1931 0.6851 0.4699
Al11 0.2344 0.3320 0.1085
Al12 0.2444 0.3219 0.6202
Al13 0.2672 0.6321 0.2176
Al14 0.2746 0.0616 0.5316
Al15 0.2940 0.0540 0.0320
Al16 0.3118 0.9209 0.2582
Al17 0.3707 0.8102 0.7287
Al18 0.3987 0.5012 0.7695
Al19 0.4203 0.2282 0.8749
Al20 0.4586 0.8120 0.0165
Al21 0.4781 0.8954 0.5033
Al22 0.4951 0.2955 0.4196
Al23 0.4986 0.3971 0.1336
Al24 0.5618 0.1166 0.2049
Al25 0.5633 0.6012 0.5004
Al26 0.5954 0.2850 0.7045
Al27 0.6187 0.6363 0.7447
Al28 0.6420 0.0529 0.9222
Al29 0.6499 0.6254 0.0085
Al30 0.7013 0.8973 0.6892
Al31 0.7087 0.0992 0.4862
Al32 0.7612 0.4389 0.3667
Al33 0.7676 0.4102 0.9350
Al34 0.8252 0.7186 0.2459
Al35 0.8267 0.2171 0.1308
Al36 0.8646 0.4386 0.6650
Al37 0.8761 0.6870 0.5380
Al38 0.9028 0.6943 0.9430
Al39 0.9697 0.2569 0.5073
Al40 0.9779 0.9647 0.5934
O1 0.0126 0.2314 0.3471
O2 0.0283 0.1145 0.8772
O3 0.0313 0.7400 0.4703
O4 0.0742 0.6844 0.8665
O5 0.0801 0.4149 0.1842
O6 0.0835 0.9264 0.7154
O7 0.1084 0.9925 0.4819
O8 0.1181 0.3674 0.5169
O9 0.1356 0.3740 0.9572
O10 0.1358 0.6420 0.0952
O11 0.1525 0.9853 0.2487
O12 0.1682 0.9326 0.9917
O13 0.1826 0.1655 0.0809
O14 0.1978 0.1632 0.6613
O15 0.2173 0.5496 0.3676
O16 0.2278 0.7820 0.3372
O17 0.2300 0.4721 0.7294
O18 0.2455 0.6997 0.6352
O19 0.2495 0.2800 0.2747
O20 0.3117 0.0964 0.8711
O21 0.3296 0.7895 0.1318
O22 0.3334 0.7629 0.8844
O23 0.3557 0.2441 0.5079
O24 0.3634 0.4990 0.1583
O25 0.3631 0.9411 0.6292
O26 0.3824 0.9914 0.4062
O27 0.3986 0.2977 0.0237
O28 0.4072 0.0314 0.1615
O29 0.4260 0.3326 0.7473
O30 0.4850 0.5474 0.6371
O31 0.4916 0.7366 0.4475
O32 0.5053 0.9524 0.9484
O33 0.5119 0.5828 0.8749
O34 0.5163 0.2760 0.2507
O35 0.5532 0.7921 0.7160
O36 0.5779 0.7386 0.0996
O37 0.5815 0.1859 0.8354
O38 0.5843 0.4546 0.4101
O39 0.6134 0.2352 0.5447
O40 0.6270 0.9741 0.5619
O41 0.6362 0.4524 0.0379
O42 0.6571 0.0793 0.3317
O43 0.6721 0.1302 0.0778
O44 0.7159 0.6216 0.5987
O45 0.7186 0.4051 0.7630
O46 0.7429 0.6640 0.8657
O47 0.7521 0.9934 0.8178
O48 0.7888 0.3443 0.2342
O49 0.8041 0.6120 0.3714
O50 0.8152 0.6487 0.0972
O51 0.8430 0.3776 0.5028
O52 0.8426 0.8460 0.6021
O53 0.8545 0.2779 0.9734
O54 0.8795 0.1067 0.5448
O55 0.9051 0.8574 0.2945
O56 0.9157 0.5103 0.9390
O57 0.9212 0.8533 0.9883
O58 0.9474 0.1022 0.1305
O59 0.9637 0.5816 0.6467
O60 0.9648 0.3196 0.7193
```

***

[3]
Entry from Materials Project: a relaxed structure of AlInCu2S4 (GGA-PBE).

Summary:
Crystal system: tetragonal

CIF file:
```
data_AlInCu2S4
_space_group_name_H-M_alt 'I -4'
_space_group_IT_number 82
_cell_length_a 5.4744
_cell_length_b 5.4744
_cell_length_c 10.8414
_cell_angle_alpha 90.00
_cell_angle_beta 90.00
_cell_angle_gamma 90.00
loop_
_space_group_symop_operation_xyz
'x,y,z'
'y,-x,-z'
'-x,-y,z'
'-y,x,-z'
'x+1/2,y+1/2,z+1/2'
'y+1/2,-x+1/2,-z+1/2'
'-x+1/2,-y+1/2,z+1/2'
'-y+1/2,x+1/2,-z+1/2'
loop_
_atom_site_label
_atom_site_fract_x
_atom_site_fract_y
_atom_site_fract_z
Al1 0.0000 0.0000 0.0000
In1 0.0000 0.5000 0.2500
Cu1 0.0000 0.0000 0.5000
Cu2 0.0000 0.5000 0.7500
S1 0.2318 0.2575 0.8832
```

***

[4]
Entry from Materials Project: a relaxed structure of ErAlZn (GGA-PBE).

Summary:
Crystal system: hexagonal

CIF file:
```
data_ErAlZn
_space_group_name_H-M_alt 'P 63/m m c'
_space_group_IT_number 194
_space_group_name_Hall '-P 6c 2c'
_cell_length_a 4.5037
_cell_length_b 4.5037
_cell_length_c 6.9257
_cell_angle_alpha 90.00
_cell_angle_beta 90.00
_cell_angle_gamma 120.00
loop_
_atom_site_label
_atom_site_fract_x
_atom_site_fract_y
_atom_site_fract_z
Er1 0.0000 0.0000 0.0000
Al1 0.3333 0.6667 0.2500
Zn1 0.3333 0.6667 0.7500
```

***

[5]
Entry from Materials Project: a relaxed structure of Pu3Th (GGA-PBE).

Summary:
Crystal system: tetragonal

CIF file:
```
data_Pu3Th
_space_group_name_H-M_alt 'I 4/m m m'
_space_group_IT_number 139
_space_group_name_Hall '-I 4 2'
_cell_length_a 4.6890
_cell_length_b 4.6890
_cell_length_c 9.4558
_cell_angle_alpha 90.00
_cell_angle_beta 90.00
_cell_angle_gamma 90.00
loop_
_atom_site_label
_atom_site_fract_x
_atom_site_fract_y
_atom_site_fract_z
Pu1 0.0000 0.0000 0.0000
Pu2 0.0000 0.5000 0.2500
Th1 0.0000 0.0000 0.5000
```

***

[6]
Entry from Materials Project: a relaxed structure of CoPt3 (GGA-PBE).

Summary:
Crystal system: trigonal

CIF file:
```
data_CoPt3
_space_group_name_H-M_alt 'R -3 m'
_space_group_IT_number 166
_space_group_name_Hall '-R 3 2"'
_cell_length_a 2.7566
_cell_length_b 2.7566
_cell_length_c 27.0333
_cell_angle_alpha 90.00
_cell_angle_beta 90.00
_cell_angle_gamma 120.00
loop_
_atom_site_label
_atom_site_fract_x
_atom_site_fract_y
_atom_site_fract_z
Co1 0.0000 0.0000 0.0000
Pt1 0.0000 0.0000 0.2560
Pt2 0.0000 0.0000 0.5000
```

***

[7]
Entry from Materials Project: a relaxed structure of Si (GGA-PBE).

Summary:
Crystal system: triclinic

CIF file:
```
data_Si
_space_group_name_H-M_alt 'P 1'
_space_group_IT_number 1
_cell_length_a 3.9746
_cell_length_b 5.4551
_cell_length_c 9.0145
_cell_angle_alpha 73.83
_cell_angle_beta 89.30
_cell_angle_gamma 68.76
loop_
_space_group_symop_operation_xyz
'x,y,z'
loop_
_atom_site_label
_atom_site_fract_x
_atom_site_fract_y
_atom_site_fract_z
Si1 0.0000 0.0000 0.0000
Si2 0.0013 0.1416 0.7294
Si3 0.0586 0.9450 0.4888
Si4 0.2812 0.5386 0.1710
Si5 0.4422 0.1119 0.1171
Si6 0.4731 0.1240 0.5710
Si7 0.5672 0.5299 0.5484
Si8 0.7269 0.6465 0.2903
```

***

[8]
Entry from Materials Project: a relaxed structure of In4As3Se (GGA-PBE).

Summary:
Crystal system: tetragonal

CIF file:
```
data_In4As3Se
_space_group_name_H-M_alt 'I -4 2 m'
_space_group_IT_number 121
_space_group_name_Hall 'I -4 2'
_cell_length_a 6.3061
_cell_length_b 6.3061
_cell_length_c 12.6084
_cell_angle_alpha 90.00
_cell_angle_beta 90.00
_cell_angle_gamma 90.00
loop_
_atom_site_label
_atom_site_fract_x
_atom_site_fract_y
_atom_site_fract_z
In1 0.2442 0.2442 0.1280
As1 0.0000 0.0000 0.0000
As2 0.0000 0.5000 0.2500
Se1 0.0000 0.0000 0.5000
```

***

Number 1: energy -0.20685 Ha/atom, formation enthalpy at 0 K -13.72 eV per formula unit. Number 2: energy -0.26641 Ha/atom, formation enthalpy at 0 K -15.97 eV per formula unit. Number 3: energy -0.16694 Ha/atom, formation enthalpy at 0 K -7.11 eV per formula unit. Number 4: energy -0.13378 Ha/atom, formation enthalpy at 0 K -1.35 eV per formula unit. Number 5: energy -0.45345 Ha/atom, formation enthalpy at 0 K 0.86 eV per formula unit. Number 6: energy -0.23370 Ha/atom, formation enthalpy at 0 K -0.12 eV per formula unit. Number 7: energy -0.18412 Ha/atom, formation enthalpy at 0 K 0.42 eV per formula unit. Number 8: energy -0.13958 Ha/atom, formation enthalpy at 0 K -2.38 eV per formula unit.